[1]
Ti2MnO4 after structural relaxation, computed with GGA+U.

a b c (Å): 6.1207 6.1207 6.1207
angles (deg): 60.00 60.00 60.00
Fractional positions:
Ti 0.0000 0.5000 0.5000
O 0.2613 0.7160 0.2613
Mn 0.1250 0.1250 0.1250
O 0.2840 0.7387 0.7387
O 0.7387 0.7387 0.7387
O 0.7160 0.2613 0.2613
Ti 0.5000 0.0000 0.5000
Ti 0.5000 0.5000 0.5000
O 0.7387 0.7387 0.2840
Mn 0.8750 0.8750 0.8750
Ti 0.5000 0.5000 0.0000
O 0.2613 0.2613 0.2613
O 0.2613 0.2613 0.7160
O 0.7387 0.2840 0.7387

Output
- M_tot: 3.31 μB per formula unit



[2]
VOF after structural relaxation, computed with GGA+U.

a b c (Å): 4.6647 5.6667 7.8787
angles (deg): 85.96 88.79 88.56
Fractional positions:
O 0.6886 0.5386 0.7653
O 0.8082 0.7102 0.0916
F 0.2973 0.8027 0.8877
V 0.5200 0.8317 0.6488
F 0.7027 0.1973 0.1123
O 0.1918 0.2898 0.9084
F 0.2059 0.9617 0.2281
V 0.4800 0.1683 0.3512
F 0.1980 0.6331 0.5571
V 0.0000 0.0000 0.0000
O 0.3114 0.4614 0.2347
O 0.7080 0.8750 0.4263
F 0.7941 0.0383 0.7719
V 0.5000 0.5000 0.0000
O 0.2920 0.1250 0.5737
F 0.8020 0.3669 0.4429
V 0.9849 0.6597 0.3148
V 0.0151 0.3403 0.6852

Output
- M_tot: 2.00 μB per formula unit



[3]
LiCoPO4 after structural relaxation, computed with GGA+U.

a b c (Å): 4.8215 8.3888 8.4913
angles (deg): 99.72 89.86 73.15
Fractional positions:
Li 0.6453 0.7127 0.7861
Li 0.9938 0.0153 0.0020
Co 0.3278 0.3427 0.2269
P 0.7050 0.5892 0.4305
O 0.7247 0.2012 0.5118
Co 0.8258 0.3492 0.7132
P 0.9303 0.1351 0.3538
O 0.9372 0.5214 0.9080
O 0.6089 0.7790 0.4616
Li 0.4915 0.0138 0.5017
O 0.0270 0.9454 0.3218
Co 0.3109 0.3774 0.5746
O 0.9075 0.5214 0.2721
O 0.2540 0.2032 0.7120
P 0.2064 0.5915 0.9341
O 0.5276 0.9475 0.8259
O 0.8828 0.5234 0.5757
O 0.4120 0.5254 0.7759
O 0.7599 0.2034 0.2085
Co 0.8089 0.3838 0.0608
P 0.4318 0.1373 0.8573
O 0.2294 0.2051 0.0157
O 0.1094 0.7811 0.9659
Li 0.1430 0.7112 0.2857
O 0.7004 0.2083 0.8739
O 0.1996 0.2051 0.3798
O 0.3768 0.5232 0.0793
O 0.4366 0.5180 0.4140

Output
- M_tot: 0.00 μB per formula unit



[4]
Cs3Mn4P12O36 after structural relaxation, computed with GGA+U.

a b c (Å): 9.6841 9.6841 12.6266
angles (deg): 59.18 59.18 63.41
Fractional positions:
P 0.6065 0.1978 0.3716
O 0.7255 0.4759 0.7391
P 0.6668 0.6668 0.7268
O 0.9453 0.2493 0.6560
P 0.3332 0.3332 0.2732
Mn 0.7918 0.7918 0.4115
O 0.8228 0.8228 0.0265
Cs 0.7842 0.2158 0.0000
O 0.3199 0.6534 0.6715
O 0.1776 0.4733 0.5064
O 0.4759 0.7255 0.7391
Mn 0.7494 0.7494 0.9272
P 0.2380 0.2380 0.8248
P 0.1978 0.6065 0.3716
O 0.5087 0.1996 0.9244
O 0.3389 0.3389 0.1504
O 0.0050 0.7060 0.7902
P 0.1650 0.5813 0.8003
O 0.8224 0.5267 0.4936
O 0.1996 0.5087 0.9244
P 0.7620 0.7620 0.1752
Mn 0.2506 0.2506 0.0728
Cs 0.2158 0.7842 0.0000
O 0.8139 0.5638 0.2397
O 0.2940 0.9950 0.2098
O 0.7696 0.7696 0.5926
Mn 0.2082 0.2082 0.5885
O 0.4733 0.1776 0.5064
O 0.5241 0.2745 0.2609
O 0.1772 0.1772 0.9735
O 0.5267 0.8224 0.4936
O 0.7060 0.0050 0.7902
Cs 0.0000 0.0000 0.5000
O 0.0547 0.7507 0.3440
P 0.4187 0.8350 0.1997
O 0.8256 0.8256 0.2251
P 0.8022 0.3935 0.6284
O 0.7507 0.0547 0.3440
O 0.5638 0.8139 0.2397
P 0.8350 0.4187 0.1997
O 0.4362 0.1861 0.7603
O 0.3466 0.6801 0.3285
P 0.5813 0.1650 0.8003
O 0.1744 0.1744 0.7749
O 0.6611 0.6611 0.8496
P 0.3935 0.8022 0.6284
O 0.2304 0.2304 0.4074
O 0.6534 0.3199 0.6715
O 0.1861 0.4362 0.7603
O 0.6801 0.3466 0.3285
O 0.8004 0.4913 0.0756
O 0.9950 0.2940 0.2098
O 0.2745 0.5241 0.2609
O 0.2493 0.9453 0.6560
O 0.4913 0.8004 0.0756



[5]
Rb7U8V2ClO32 after structural relaxation, computed with GGA+U.

a b c (Å): 11.9141 14.4465 21.6030
angles (deg): 90.00 90.00 90.00
Fractional positions:
O 0.0310 0.1561 0.2500
O 0.6090 0.3431 0.5903
O 0.7352 0.6672 0.9166
O 0.9283 0.2626 0.3501
O 0.9277 0.3974 0.2500
O 0.7686 0.1200 0.4033
O 0.5112 0.6045 0.5647
Rb 0.9546 0.0281 0.3465
O 0.4888 0.3955 0.4353
O 0.9008 0.7540 0.1496
O 0.5414 0.0964 0.9339
U 0.2360 0.7511 0.5941
O 0.9139 0.3496 0.9103
U 0.0698 0.2789 0.0765
O 0.0916 0.7548 0.9747
Rb 0.2559 0.5195 0.0239
Rb 0.4546 0.4719 0.8465
O 0.7648 0.1672 0.9166
O 0.8624 0.6823 0.6858
V 0.2332 0.8669 0.1621
O 0.6086 0.6900 0.6856
O 0.1194 0.2622 0.5250
U 0.4574 0.2714 0.4242
Rb 0.0454 0.9719 0.8465
O 0.2314 0.8800 0.9033
O 0.7606 0.3771 0.0915
O 0.6086 0.6900 0.8144
U 0.5426 0.7286 0.5758
O 0.4139 0.1504 0.0897
U 0.7640 0.2489 0.0941
O 0.7251 0.5186 0.8309
Rb 0.4217 0.9767 0.6466
O 0.9586 0.5964 0.9339
Cl 0.2338 0.8197 0.7500
O 0.5992 0.2540 0.1496
Rb 0.5783 0.0233 0.1466
O 0.9888 0.1045 0.5647
O 0.8910 0.8431 0.9097
O 0.2686 0.3800 0.5967
U 0.5698 0.2211 0.5765
Rb 0.7355 0.8688 0.7500
O 0.8624 0.6823 0.8142
O 0.7749 0.0186 0.6691
O 0.9586 0.5964 0.5661
Rb 0.7559 0.9805 0.9761
O 0.4024 0.6092 0.7500
O 0.3910 0.6569 0.4097
O 0.6194 0.2378 0.0250
O 0.8806 0.7378 0.4750
U 0.9302 0.7211 0.9235
Rb 0.9546 0.0281 0.1535
O 0.0861 0.6504 0.4103
O 0.4008 0.7460 0.8504
O 0.7394 0.8771 0.0915
U 0.5189 0.7776 0.2500
U 0.9574 0.2286 0.5758
O 0.3806 0.7622 0.9750
O 0.6194 0.2378 0.4750
O 0.4997 0.1478 0.2500
Rb 0.0454 0.9719 0.6535
O 0.5861 0.8496 0.5897
O 0.1376 0.3177 0.1858
O 0.4084 0.2548 0.9747
O 0.5112 0.6045 0.9353
U 0.0426 0.7714 0.0758
O 0.7352 0.6672 0.5834
O 0.1086 0.8100 0.3144
O 0.0976 0.1092 0.7500
Rb 0.9217 0.5233 0.3534
O 0.1086 0.8100 0.1856
O 0.2394 0.6229 0.5915
U 0.9574 0.2286 0.9242
U 0.5698 0.2211 0.9235
O 0.4888 0.3955 0.0647
O 0.5916 0.7452 0.4747
Rb 0.4546 0.4719 0.6535
O 0.5723 0.8974 0.2500
U 0.2360 0.7511 0.9059
O 0.2352 0.8328 0.4166
O 0.7314 0.6200 0.0967
O 0.3914 0.3100 0.3144
O 0.9690 0.8439 0.7500
V 0.7332 0.6331 0.6621
O 0.2251 0.9814 0.1691
O 0.0861 0.6504 0.0897
U 0.0426 0.7714 0.4242
Cl 0.2662 0.3197 0.7500
O 0.0992 0.2460 0.6496
U 0.4811 0.2224 0.7500
Rb 0.0783 0.4767 0.8534
O 0.0717 0.7374 0.8501
Rb 0.7559 0.9805 0.5239
O 0.2648 0.3328 0.0834
O 0.4277 0.1026 0.7500
O 0.7251 0.5186 0.6691
O 0.3624 0.8177 0.1858
O 0.5916 0.7452 0.0253
O 0.4283 0.2374 0.8501
O 0.2749 0.4814 0.1691
Rb 0.7645 0.3688 0.7500
Rb 0.0783 0.4767 0.6466
O 0.6376 0.1823 0.6858
O 0.7394 0.8771 0.4085
O 0.4084 0.2548 0.5253
O 0.3624 0.8177 0.3142
O 0.4008 0.7460 0.6496
O 0.0112 0.8955 0.4353
O 0.0723 0.6026 0.7500
O 0.1194 0.2622 0.9750
U 0.4574 0.2714 0.0758
U 0.9517 0.7697 0.2500
Rb 0.5454 0.5281 0.3465
Rb 0.2441 0.0195 0.4761
O 0.5310 0.3439 0.7500
Rb 0.7441 0.4805 0.9761
U 0.4302 0.7789 0.4235
V 0.7332 0.6331 0.8379
O 0.6376 0.1823 0.8142
U 0.9811 0.2776 0.2500
O 0.9084 0.2452 0.0253
U 0.9302 0.7211 0.5765
O 0.5003 0.8522 0.7500
O 0.2749 0.4814 0.3309
O 0.0992 0.2460 0.8504
U 0.0189 0.7224 0.7500
U 0.4517 0.7303 0.7500
Rb 0.5454 0.5281 0.1535
O 0.4690 0.6561 0.2500
U 0.0698 0.2789 0.4235
Rb 0.2441 0.0195 0.0239
Rb 0.2645 0.1312 0.2500
O 0.2606 0.1229 0.9085
Rb 0.9217 0.5233 0.1466
O 0.4586 0.9036 0.4339
O 0.3914 0.3100 0.1856
O 0.1376 0.3177 0.3142
V 0.7668 0.1331 0.6621
O 0.2394 0.6229 0.9085
O 0.6090 0.3431 0.9097
O 0.0717 0.7374 0.6499
O 0.1090 0.1569 0.4097
U 0.5426 0.7286 0.9242
O 0.7314 0.6200 0.4033
O 0.1090 0.1569 0.0903
O 0.5717 0.7626 0.3501
O 0.9997 0.3522 0.7500
Rb 0.7441 0.4805 0.5239
O 0.5976 0.3908 0.2500
U 0.0483 0.2303 0.7500
O 0.3806 0.7622 0.5250
U 0.4302 0.7789 0.0765
O 0.9888 0.1045 0.9353
O 0.4283 0.2374 0.6499
U 0.2640 0.2511 0.9059
O 0.2251 0.9814 0.3309
U 0.5483 0.2697 0.2500
O 0.3910 0.6569 0.0903
O 0.7648 0.1672 0.5834
Cl 0.7338 0.6803 0.2500
O 0.2352 0.8328 0.0834
O 0.0003 0.6478 0.2500
O 0.9024 0.8908 0.2500
U 0.7360 0.7489 0.4059
O 0.7686 0.1200 0.0967
U 0.7360 0.7489 0.0941
U 0.7640 0.2489 0.4059
O 0.9084 0.2452 0.4747
V 0.2332 0.8669 0.3379
O 0.0916 0.7548 0.5253
V 0.2668 0.3669 0.3379
O 0.0414 0.4036 0.0661
Rb 0.4217 0.9767 0.8534
O 0.5717 0.7626 0.1499
O 0.2648 0.3328 0.4166
O 0.8914 0.1900 0.6856
Cl 0.7662 0.1803 0.2500
O 0.7749 0.0186 0.8309
O 0.2686 0.3800 0.9033
O 0.0112 0.8955 0.0647
O 0.4139 0.1504 0.4103
O 0.9139 0.3496 0.5897
Rb 0.2559 0.5195 0.4761
O 0.8910 0.8431 0.5903
O 0.5992 0.2540 0.3504
Rb 0.2355 0.6312 0.2500
O 0.2314 0.8800 0.5967
O 0.9008 0.7540 0.3504
O 0.5861 0.8496 0.9103
O 0.5414 0.0964 0.5661
O 0.8806 0.7378 0.0250
O 0.7606 0.3771 0.4085
U 0.2640 0.2511 0.5941
O 0.4586 0.9036 0.0661
Rb 0.5783 0.0233 0.3534
O 0.9283 0.2626 0.1499
V 0.7668 0.1331 0.8379
O 0.8914 0.1900 0.8144
O 0.0414 0.4036 0.4339
O 0.2606 0.1229 0.5915
V 0.2668 0.3669 0.1621

Output
- M_tot: 0.00 μB per formula unit



[6]
MgFeBiO5 after structural relaxation, computed with GGA+U.

a b c (Å): 5.2069 9.8467 15.2121
angles (deg): 90.00 90.00 90.00
Fractional positions:
O 0.2058 0.2565 0.9911
Mg 0.4549 0.6238 0.4350
Bi 0.5086 0.1387 0.7484
O 0.8347 0.8136 0.1746
O 0.6707 0.7002 0.3313
O 0.3347 0.1864 0.3254
O 0.2942 0.2565 0.4911
O 0.8293 0.2002 0.6687
Fe 0.9728 0.6236 0.5631
Mg 0.4549 0.1238 0.0650
Mg 0.9549 0.3762 0.0650
O 0.3293 0.7998 0.8313
O 0.2361 0.4980 0.5238
O 0.2634 0.9943 0.6567
O 0.8347 0.3136 0.3254
Fe 0.0272 0.3764 0.4369
O 0.2366 0.9943 0.1567
Mg 0.9549 0.8762 0.4350
O 0.2361 0.9980 0.9762
Mg 0.5451 0.8762 0.9350
O 0.2366 0.4943 0.3433
O 0.6653 0.8136 0.6746
Bi 0.5086 0.6387 0.7516
O 0.7639 0.5020 0.4762
Bi 0.4914 0.8613 0.2516
Bi 0.9914 0.6387 0.2516
O 0.8293 0.7002 0.8313
Fe 0.0272 0.8764 0.0631
O 0.2058 0.7565 0.5089
O 0.1653 0.6864 0.6746
O 0.2942 0.7565 0.0089
O 0.7634 0.5057 0.6567
Fe 0.4728 0.3764 0.9369
O 0.7639 0.0020 0.0238
O 0.1707 0.7998 0.3313
O 0.7361 0.0020 0.5238
O 0.3293 0.2998 0.6687
O 0.7366 0.5057 0.1567
Bi 0.4914 0.3613 0.2484
Fe 0.5272 0.1236 0.4369
O 0.7366 0.0057 0.3433
Fe 0.4728 0.8764 0.5631
Mg 0.5451 0.3762 0.5650
O 0.7058 0.7435 0.5089
Mg 0.0451 0.6238 0.9350
O 0.7942 0.2435 0.4911
O 0.7361 0.5020 0.9762
Fe 0.9728 0.1236 0.9369
Bi 0.0086 0.8613 0.7516
Bi 0.0086 0.3613 0.7484
Bi 0.9914 0.1387 0.2484
Mg 0.0451 0.1238 0.5650
O 0.6653 0.3136 0.8254
O 0.7058 0.2435 0.9911
O 0.7942 0.7435 0.0089
O 0.3347 0.6864 0.1746
O 0.2639 0.9980 0.4762
O 0.6707 0.2002 0.1687
O 0.2639 0.4980 0.0238
O 0.2634 0.4943 0.8433
Fe 0.5272 0.6236 0.0631
O 0.7634 0.0057 0.8433
O 0.1653 0.1864 0.8254
O 0.1707 0.2998 0.1687

Output
- M_tot: 4.03 μB per formula unit



[7]
Li9Mn2Co5O16 after structural relaxation, computed with GGA+U.

a b c (Å): 2.9602 9.7543 10.1316
angles (deg): 77.62 88.96 87.83
Fractional positions:
O 0.5094 0.3826 0.7033
Li 0.4983 0.4980 0.0025
Li 0.0020 0.7524 0.8702
Co 0.9910 0.5007 0.2515
O 0.4836 0.6069 0.8064
Li 0.4971 0.9993 0.2542
O 0.0335 0.1413 0.8248
O 0.0000 0.8925 0.6710
Mn 0.9971 0.5050 0.7452
Co 0.9987 0.9894 0.5056
Li 0.0053 0.2499 0.1236
O 0.4989 0.3719 0.1983
Li 0.4859 0.7449 0.6181
O 0.4713 0.8854 0.4427
O 0.0278 0.8715 0.1759
O 0.9971 0.3745 0.4276
O 0.9493 0.6246 0.0720
Li 0.9948 0.2466 0.6238
Co 0.5173 0.2530 0.8766
Co 0.5022 0.2484 0.3765
Co 0.4890 0.7493 0.1243
Li 0.4887 0.0009 0.7424
O 0.5350 0.1260 0.5528
O 0.5495 0.1272 0.0529
Mn 0.0107 0.0021 0.9989
O 0.9957 0.6134 0.5754
Li 0.5083 0.5088 0.5012
O 0.0002 0.3658 0.9238
O 0.4680 0.8735 0.9439
O 0.4837 0.6262 0.2994
O 0.0073 0.1194 0.3310
Li 0.0033 0.7485 0.3842

Output
- M_tot: 8.00 μB per formula unit



| no. | electronic total energy (eV per atom) | DFT formation energy (eV per formula unit) |
| --- | --- | --- |
| 1 | -8.688 | -20.48 |
| 2 | -7.156 | -8.37 |
| 3 | -6.547 | -15.99 |
| 4 | -7.182 | -144.02 |
| 5 | -8.185 | -159.07 |
| 6 | -5.858 | -13.86 |
| 7 | -5.810 | -58.23 |